Record 1
Mg2Si3 after structural relaxation, computed with PBE-GGA.

energy above the most stable polymorph in this dataset: 37.2 meV/atom
E (MP2020): -75.58 eV/cell
ΔE_f: 0.58 eV per formula unit
V: 386.96 Å³/cell
space-group type: Cm (8)

Unit cell a=6.1757 b=6.1757 c=17.1126 alpha=83.19 beta=83.19 gamma=36.70
Sites, in units of the cell vectors:
1 Mg 0.9613 0.9613 0.2510
2 Mg 0.4715 0.4715 0.7495
3 Mg 0.9303 0.9303 0.0744
4 Mg 0.5088 0.5088 0.9239
5 Mg 0.7546 0.7546 0.7503
6 Mg 0.6831 0.6831 0.2502
7 Mg 0.5741 0.5741 0.5758
8 Mg 0.7231 0.7231 0.4217
9 Si 0.6333 0.6333 0.0503
10 Si 0.8006 0.8006 0.9532
11 Si 0.1476 0.1476 0.1333
12 Si 0.2883 0.2883 0.8708
13 Si 0.1252 0.1252 0.6793
14 Si 0.3112 0.3112 0.3208
15 Si 0.8414 0.8414 0.5457
16 Si 0.0162 0.0162 0.4529
17 Si 0.3303 0.3303 0.6285
18 Si 0.4968 0.4968 0.3690
19 Si 0.3367 0.3367 0.1765
20 Si 0.1020 0.1020 0.8228

Record 2
Mg4Si3 after structural relaxation, computed with PBE-GGA.

energy above the most stable polymorph in this dataset: 48.6 meV/atom
E (MP2020): -44.62 eV/cell
ΔE_f: 0.37 eV per formula unit
V: 272.83 Å³/cell
space-group type: P1 (1)

Unit cell a=5.5912 b=6.2279 c=8.2696 alpha=74.48 beta=79.61 gamma=85.90
Sites, in units of the cell vectors:
1 Mg 0.6716 0.2629 0.2206
2 Mg 0.3844 0.1260 0.9618
3 Mg 0.8624 0.4043 0.5109
4 Mg 0.3264 0.4425 0.5999
5 Mg 0.6079 0.6451 0.8424
6 Mg 0.1071 0.9386 0.3711
7 Mg 0.0962 0.9408 0.7162
8 Mg 0.9093 0.8079 0.0996
9 Si 0.4182 0.7109 0.1770
10 Si 0.1775 0.3833 0.2129
11 Si 0.8712 0.2430 0.8728
12 Si 0.6151 0.7863 0.4054
13 Si 0.1134 0.5220 0.9157
14 Si 0.5892 0.0363 0.5937

Record 3
Mg5Si6 after structural relaxation, computed with PBE-GGA.

energy above the most stable polymorph in this dataset: 30.7 meV/atom
E (MP2020): -78.99 eV/cell
ΔE_f: 1.06 eV per formula unit
V: 408.69 Å³/cell
space-group type: P-1 (2)

Unit cell a=4.3345 b=6.9935 c=13.9165 alpha=101.68 beta=95.54 gamma=95.03
Sites, in units of the cell vectors:
1 Mg 0.3538 0.9162 0.7435
2 Mg 0.6462 0.0838 0.2565
3 Mg 0.2007 0.9608 0.4063
4 Mg 0.1118 0.1761 0.1043
5 Mg 0.9029 0.2505 0.8302
6 Mg 0.7993 0.0392 0.5937
7 Mg 0.1765 0.4357 0.3301
8 Mg 0.0971 0.7495 0.1698
9 Mg 0.8882 0.8239 0.8957
10 Mg 0.8235 0.5643 0.6699
11 Si 0.3522 0.2739 0.6966
12 Si 0.3389 0.5791 0.8124
13 Si 0.6611 0.4209 0.1876
14 Si 0.6478 0.7261 0.3034
15 Si 0.7462 0.6454 0.4620
16 Si 0.2691 0.5698 0.9802
17 Si 0.5516 0.8949 0.0571
18 Si 0.7155 0.2808 0.4500
19 Si 0.2538 0.3546 0.5380
20 Si 0.4484 0.1051 0.9429
21 Si 0.7309 0.4302 0.0198
22 Si 0.2845 0.7192 0.5500

Record 4
Mg3Si4 after structural relaxation, computed with PBE-GGA.

energy above the most stable polymorph in this dataset: 23.9 meV/atom
E (MP2020): -51.36 eV/cell
ΔE_f: 0.82 eV per formula unit
V: 255.88 Å³/cell
space-group type: P1 (1)

Unit cell a=5.3231 b=6.8106 c=7.9209 alpha=103.88 beta=108.43 gamma=99.05
Sites, in units of the cell vectors:
1 Mg 0.6312 0.9290 0.4053
2 Mg 0.0682 0.6797 0.4765
3 Mg 0.3421 0.7102 0.8989
4 Mg 0.1426 0.1769 0.8910
5 Mg 0.4726 0.3902 0.4287
6 Mg 0.0286 0.9249 0.1515
7 Si 0.7962 0.4528 0.8679
8 Si 0.5908 0.0657 0.8093
9 Si 0.1956 0.5604 0.1607
10 Si 0.6346 0.5052 0.1396
11 Si 0.7633 0.7590 0.7342
12 Si 0.9998 0.3610 0.6074
13 Si 0.2238 0.0909 0.5442
14 Si 0.6105 0.1404 0.1315

Record 5
Mg4Si7 after structural relaxation, computed with PBE-GGA.

energy above the most stable polymorph in this dataset: 116.9 meV/atom
E (MP2020): -82.97 eV/cell
ΔE_f: 2.89 eV per formula unit
V: 394.95 Å³/cell
space-group type: Cm (8)

Unit cell a=12.7938 b=12.7938 c=8.7446 alpha=80.72 beta=80.72 gamma=16.24
Sites, in units of the cell vectors:
1 Mg 0.3809 0.3809 0.0217
2 Mg 0.1549 0.1549 0.7025
3 Mg 0.5413 0.5413 0.8656
4 Mg 0.7242 0.7242 0.4093
5 Mg 0.3151 0.3151 0.5062
6 Mg 0.0070 0.0070 0.3672
7 Mg 0.6054 0.6054 0.4355
8 Mg 0.7000 0.7000 0.0080
9 Si 0.8530 0.8530 0.7809
10 Si 0.4146 0.4146 0.3048
11 Si 0.9688 0.9688 0.0959
12 Si 0.9045 0.9045 0.5152
13 Si 0.1704 0.1704 0.2452
14 Si 0.1137 0.1137 0.0326
15 Si 0.4675 0.4675 0.6280
16 Si 0.8251 0.8251 0.2373
17 Si 0.2873 0.2873 0.8618
18 Si 0.9503 0.9503 0.8312
19 Si 0.0470 0.0470 0.6341
20 Si 0.7469 0.7469 0.7092
21 Si 0.2687 0.2687 0.1544
22 Si 0.5577 0.5577 0.1498

Record 6
Mg3Si4 after structural relaxation, computed with PBE-GGA.

energy above the most stable polymorph in this dataset: 47.9 meV/atom
E (MP2020): -51.02 eV/cell
ΔE_f: 0.99 eV per formula unit
V: 273.85 Å³/cell
space-group type: P1 (1)

Unit cell a=3.9589 b=7.3208 c=9.7471 alpha=100.70 beta=99.32 gamma=89.48
Sites, in units of the cell vectors:
1 Mg 0.2441 0.8966 0.2062
2 Mg 0.3365 0.7888 0.6037
3 Mg 0.2152 0.3313 0.0186
4 Mg 0.6562 0.5994 0.8835
5 Mg 0.8862 0.1465 0.4622
6 Mg 0.3344 0.4801 0.3457
7 Si 0.8302 0.0337 0.7464
8 Si 0.0387 0.3375 0.7399
9 Si 0.7990 0.7751 0.3825
10 Si 0.7601 0.5674 0.1584
11 Si 0.6920 0.0337 0.9847
12 Si 0.8001 0.2435 0.2047
13 Si 0.4769 0.4088 0.6094
14 Si 0.1707 0.8580 0.9008

Record 7
Mg4Si3 after structural relaxation, computed with PBE-GGA.

energy above the most stable polymorph in this dataset: 89.4 meV/atom
E (MP2020): -88.10 eV/cell
ΔE_f: 0.65 eV per formula unit
V: 559.67 Å³/cell
space-group type: P1 (1)

Unit cell a=6.5558 b=6.9817 c=12.8134 alpha=100.01 beta=91.63 gamma=103.68
Sites, in units of the cell vectors:
1 Mg 0.5805 0.0126 0.8999
2 Mg 0.6452 0.5379 0.8827
3 Mg 0.0762 0.8516 0.4408
4 Mg 0.1176 0.5242 0.2511
5 Mg 0.0369 0.9020 0.9514
6 Mg 0.0328 0.2971 0.8368
7 Mg 0.5228 0.8181 0.3588
8 Mg 0.3776 0.2269 0.3546
9 Mg 0.3338 0.8753 0.6533
10 Mg 0.4098 0.4199 0.6554
11 Mg 0.9403 0.8720 0.2112
12 Mg 0.8952 0.2095 0.3881
13 Mg 0.9522 0.4671 0.6275
14 Mg 0.8367 0.8484 0.7291
15 Mg 0.5654 0.4876 0.1563
16 Mg 0.4832 0.9511 0.1473
17 Si 0.7224 0.0370 0.5523
18 Si 0.2580 0.5457 0.4744
19 Si 0.3338 0.2651 0.9729
20 Si 0.9329 0.5448 0.0494
21 Si 0.2662 0.6740 0.8141
22 Si 0.6499 0.2029 0.7258
23 Si 0.7496 0.5237 0.3552
24 Si 0.1979 0.1836 0.1379
25 Si 0.6464 0.6558 0.5284
26 Si 0.0814 0.1078 0.6213
27 Si 0.2928 0.6144 0.0004
28 Si 0.8436 0.2008 0.0875

Record 8
Mg4Si3 after structural relaxation, computed with PBE-GGA.

energy above the most stable polymorph in this dataset: 51.1 meV/atom
E (MP2020): -44.59 eV/cell
ΔE_f: 0.38 eV per formula unit
V: 290.86 Å³/cell
space-group type: P1 (1)

Unit cell a=4.8324 b=7.7300 c=8.6685 alpha=70.81 beta=76.23 gamma=74.68
Sites, in units of the cell vectors:
1 Mg 0.0689 0.4069 0.3276
2 Mg 0.7556 0.8895 0.9258
3 Mg 0.6947 0.1619 0.5786
4 Mg 0.2729 0.8881 0.5138
5 Mg 0.4171 0.6172 0.8775
6 Mg 0.4615 0.6585 0.2611
7 Mg 0.0837 0.4119 0.7206
8 Mg 0.1176 0.1054 0.0652
9 Si 0.5990 0.0044 0.2055
10 Si 0.6444 0.2850 0.2523
11 Si 0.2404 0.0237 0.7682
12 Si 0.8872 0.7665 0.4029
13 Si 0.8957 0.5037 0.0214
14 Si 0.6113 0.5271 0.5794